DFT (r2SCAN) results for an optimized crystal structure of V2Se2O11.

Properties
Its volume is 12.9 Å³ per atom. As for the space group: No. 15. Its formation energy is -1.40 eV per atom.

The structure in POSCAR format:
```
V2Se2O11
1.0
7.718 -2.780 0.000
7.718 2.780 0.000
-3.641 0.000 9.030
V Se O
4 4 22
Direct
0.035 0.208 0.292
0.208 0.035 0.792
0.792 0.965 0.208
0.965 0.792 0.708
0.224 0.483 0.401
0.483 0.224 0.901
0.517 0.776 0.099
0.776 0.517 0.599
0.023 0.789 0.383
0.040 0.268 0.917
0.097 0.392 0.278
0.109 0.891 0.750
0.211 0.977 0.117
0.222 0.485 0.572
0.268 0.040 0.417
0.307 0.513 0.876
0.392 0.097 0.778
0.485 0.222 0.072
0.487 0.693 0.624
0.513 0.307 0.376
0.515 0.778 0.928
0.608 0.903 0.222
0.693 0.487 0.124
0.732 0.960 0.583
0.778 0.515 0.428
0.789 0.023 0.883
0.891 0.109 0.250
0.903 0.608 0.722
0.960 0.732 0.083
0.977 0.211 0.617
```